# 1
Computed, not measured: a relaxed structure of Na3MnCoNiO6 at the PBE with a Hubbard U level of DFT.

Cell lengths 7.978, 7.978, 5.637 Å; angles 72.49, 72.49, 21.89 degrees
Sites, in units of the cell vectors:
O (0.928, 0.928, 0.690)
O (0.751, 0.751, 0.291)
O (0.581, 0.581, 0.698)
O (0.259, 0.259, 0.711)
O (0.415, 0.415, 0.307)
O (0.071, 0.071, 0.305)
Na (0.000, 0.000, 0.000)
Na (0.333, 0.333, 0.002)
Na (0.668, 0.668, 0.996)
Mn (0.500, 0.500, 0.501)
Ni (0.167, 0.167, 0.506)
Co (0.826, 0.826, 0.493)

## Properties
Symmetry ... No. 8
E (MP2020) ... -6.2796 eV per atom
Calculated volume ... 10.610 A^3/atom
Formation energy from the elements ... -1.64 eV per atom

=====

# 2
Computed, not measured: a relaxed structure of Cr3NiS6O24 at the PBE with a Hubbard U level of DFT.

Cell lengths 8.843, 8.843, 8.843 Å; angles 55.94, 55.94, 55.94 degrees
Sites, in units of the cell vectors:
O (0.108, 0.515, 0.299)
O (0.693, 0.893, 0.491)
O (0.330, 0.951, 0.010)
O (0.349, 0.286, 0.970)
O (0.627, 0.382, 0.759)
O (0.715, 0.024, 0.657)
O (0.238, 0.381, 0.616)
O (0.616, 0.238, 0.381)
O (0.970, 0.349, 0.286)
O (0.381, 0.616, 0.238)
O (0.010, 0.330, 0.951)
O (0.675, 0.047, 0.984)
O (0.491, 0.693, 0.893)
O (0.299, 0.108, 0.515)
O (0.515, 0.299, 0.108)
O (0.759, 0.627, 0.382)
O (0.657, 0.715, 0.024)
O (0.951, 0.010, 0.330)
O (0.893, 0.491, 0.693)
O (0.024, 0.657, 0.715)
O (0.382, 0.759, 0.627)
O (0.984, 0.675, 0.047)
O (0.286, 0.970, 0.349)
O (0.047, 0.984, 0.675)
S (0.538, 0.253, 0.958)
S (0.253, 0.958, 0.538)
S (0.958, 0.538, 0.253)
S (0.040, 0.464, 0.748)
S (0.748, 0.040, 0.464)
S (0.464, 0.748, 0.040)
Ni (0.150, 0.150, 0.150)
Cr (0.644, 0.644, 0.644)
Cr (0.849, 0.849, 0.849)
Cr (0.356, 0.356, 0.356)

## Properties
Symmetry ... No. 146
E (MP2020) ... -7.1458 eV per atom
Calculated volume ... 13.027 A^3/atom
Formation energy from the elements ... -1.90 eV per atom

=====

# 3
Computed, not measured: a relaxed structure of LiFe3SiPO8 at the PBE with a Hubbard U level of DFT.

Cell lengths 4.832, 6.132, 10.570 Å; angles 90.00, 89.93, 90.00 degrees
Sites, in units of the cell vectors:
Fe (0.008, 0.750, 0.715)
Fe (0.000, 0.000, 0.000)
Fe (0.000, 0.500, 0.000)
Fe (0.478, 0.750, 0.223)
Fe (0.992, 0.250, 0.285)
Fe (0.522, 0.250, 0.777)
Si (0.429, 0.250, 0.097)
Si (0.571, 0.750, 0.903)
O (0.292, 0.250, 0.953)
O (0.708, 0.750, 0.047)
O (0.286, 0.463, 0.167)
O (0.714, 0.537, 0.833)
O (0.243, 0.750, 0.405)
O (0.796, 0.750, 0.540)
O (0.205, 0.048, 0.666)
O (0.714, 0.963, 0.833)
O (0.795, 0.548, 0.334)
O (0.757, 0.250, 0.595)
O (0.232, 0.750, 0.905)
O (0.286, 0.037, 0.167)
O (0.205, 0.452, 0.666)
O (0.204, 0.250, 0.460)
O (0.795, 0.952, 0.334)
O (0.768, 0.250, 0.095)
P (0.923, 0.750, 0.404)
P (0.077, 0.250, 0.596)
Li (0.500, 0.500, 0.500)
Li (0.500, 0.000, 0.500)

## Properties
Symmetry ... No. 11
E (MP2020) ... -7.9393 eV per atom
E above lowest polymorph ... 0 meV/atom
Calculated volume ... 11.185 A^3/atom
Formation energy from the elements ... -2.39 eV per atom

=====

# 4
Computed, not measured: a relaxed structure of LiMnO2 at the PBE with a Hubbard U level of DFT.

Cell lengths 5.199, 10.206, 7.980 Å; angles 71.16, 77.47, 98.35 degrees
Sites, in units of the cell vectors:
O (0.226, 0.490, 0.274)
O (0.152, 0.383, 0.964)
O (0.379, 0.609, 0.558)
O (0.558, 0.805, 0.119)
O (0.274, 0.010, 0.227)
O (0.774, 0.510, 0.727)
O (0.009, 0.797, 0.664)
O (0.058, 0.305, 0.619)
O (0.848, 0.617, 0.036)
O (0.491, 0.703, 0.836)
O (0.509, 0.297, 0.164)
O (0.991, 0.203, 0.336)
O (0.121, 0.891, 0.942)
O (0.942, 0.695, 0.381)
O (0.879, 0.109, 0.058)
O (0.726, 0.990, 0.773)
O (0.652, 0.883, 0.464)
O (0.348, 0.117, 0.536)
O (0.621, 0.391, 0.442)
O (0.442, 0.195, 0.881)
Mn (0.302, 0.297, 0.393)
Mn (0.802, 0.797, 0.893)
Mn (0.698, 0.703, 0.607)
Mn (0.901, 0.898, 0.209)
Mn (0.500, 0.000, 0.000)
Mn (0.599, 0.602, 0.291)
Mn (0.198, 0.203, 0.107)
Mn (0.000, 0.500, 0.500)
Mn (0.099, 0.102, 0.791)
Mn (0.401, 0.398, 0.709)
Li (0.409, 0.902, 0.691)
Li (0.591, 0.098, 0.309)
Li (0.000, 0.000, 0.500)
Li (0.909, 0.402, 0.191)
Li (0.794, 0.302, 0.928)
Li (0.500, 0.500, 0.000)
Li (0.206, 0.698, 0.072)
Li (0.706, 0.198, 0.572)
Li (0.294, 0.802, 0.428)
Li (0.091, 0.598, 0.809)

## Properties
E (MP2020) ... -7.3518 eV per atom
Calculated volume ... 9.510 A^3/atom
Formation energy from the elements ... -2.11 eV per atom

=====

# 5
Computed, not measured: a relaxed structure of CoC4O6 at the PBE with a Hubbard U level of DFT.

Cell lengths 7.609, 7.609, 7.179 Å; angles 62.33, 62.33, 54.37 degrees
Sites, in units of the cell vectors:
O (0.920, 0.354, 0.305)
O (0.213, 0.517, 0.015)
O (0.646, 0.080, 0.195)
O (0.483, 0.787, 0.485)
O (0.232, 0.225, 0.391)
O (0.080, 0.646, 0.695)
O (0.517, 0.213, 0.515)
O (0.775, 0.768, 0.109)
O (0.354, 0.920, 0.805)
O (0.787, 0.483, 0.985)
O (0.225, 0.232, 0.891)
O (0.768, 0.775, 0.609)
Co (0.500, 0.000, 0.500)
Co (0.000, 0.500, 0.000)
C (0.837, 0.076, 0.841)
C (0.249, 0.037, 0.941)
C (0.163, 0.924, 0.159)
C (0.924, 0.163, 0.659)
C (0.751, 0.963, 0.059)
C (0.963, 0.751, 0.559)
C (0.076, 0.837, 0.341)
C (0.037, 0.249, 0.441)

## Properties
Symmetry ... No. 15
E (MP2020) ... -7.2057 eV per atom
Calculated volume ... 13.097 A^3/atom
Formation energy from the elements ... -0.50 eV per atom

=====

# 6
Computed, not measured: a relaxed structure of MgZn2Co2O6 at the PBE with a Hubbard U level of DFT.

Cell lengths 5.149, 6.005, 5.387 Å; angles 117.97, 58.34, 116.03 degrees
Sites, in units of the cell vectors:
O (0.617, 0.848, 0.296)
O (0.120, 0.300, 0.457)
O (0.282, 0.833, 0.890)
O (0.757, 0.274, 0.107)
O (0.954, 0.750, 0.527)
O (0.491, 0.403, 0.838)
Mg (0.684, 0.108, 0.699)
Co (0.108, 0.414, 0.183)
Co (0.877, 0.712, 0.903)
Zn (0.504, 0.549, 0.533)
Zn (0.331, 0.997, 0.292)

## Properties
Symmetry ... No. 1
E (MP2020) ... -5.9714 eV per atom
E above lowest polymorph ... 45 meV/atom
Calculated volume ... 11.002 A^3/atom
Formation energy from the elements ... -1.61 eV per atom

=====

# 7
Computed, not measured: a relaxed structure of Cr9O13 at the PBE with a Hubbard U level of DFT.

Cell lengths 5.245, 5.245, 17.139 Å; angles 81.35, 81.35, 33.45 degrees
Sites, in units of the cell vectors:
O (0.110, 0.110, 0.229)
O (0.718, 0.718, 0.067)
O (0.438, 0.438, 0.135)
O (0.626, 0.626, 0.392)
O (0.562, 0.562, 0.865)
O (0.890, 0.890, 0.771)
O (0.613, 0.613, 0.675)
O (0.860, 0.860, 0.464)
O (0.000, 0.000, 0.000)
O (0.387, 0.387, 0.325)
O (0.140, 0.140, 0.536)
O (0.282, 0.282, 0.933)
O (0.374, 0.374, 0.608)
Cr (0.993, 0.993, 0.674)
Cr (0.059, 0.059, 0.131)
Cr (0.355, 0.355, 0.041)
Cr (0.645, 0.645, 0.959)
Cr (0.748, 0.748, 0.581)
Cr (0.500, 0.500, 0.500)
Cr (0.941, 0.941, 0.869)
Cr (0.252, 0.252, 0.419)
Cr (0.007, 0.007, 0.326)

## Properties
Symmetry ... No. 12
E (MP2020) ... -8.9108 eV per atom
Calculated volume ... 11.665 A^3/atom
Formation energy from the elements ... -2.04 eV per atom

=====

# 8
Computed, not measured: a relaxed structure of V3P4WO20 at the PBE with a Hubbard U level of DFT.

Cell lengths 4.348, 6.204, 12.413 Å; angles 89.97, 90.00, 90.00 degrees
Sites, in units of the cell vectors:
O (0.296, 0.550, 0.099)
O (0.296, 0.803, 0.273)
O (0.704, 0.701, 0.478)
O (0.297, 0.453, 0.402)
O (0.704, 0.955, 0.151)
O (0.708, 0.954, 0.650)
O (0.707, 0.695, 0.977)
O (0.187, 0.000, 0.000)
O (0.298, 0.803, 0.775)
O (0.298, 0.197, 0.225)
O (0.704, 0.045, 0.849)
O (0.837, 0.500, 0.750)
O (0.296, 0.450, 0.901)
O (0.708, 0.046, 0.350)
O (0.296, 0.197, 0.727)
O (0.707, 0.305, 0.023)
O (0.297, 0.547, 0.598)
O (0.704, 0.299, 0.522)
O (0.837, 0.500, 0.250)
O (0.157, 0.000, 0.500)
V (0.211, 0.499, 0.253)
V (0.211, 0.501, 0.747)
V (0.785, 0.000, 0.500)
P (0.501, 0.500, 0.500)
P (0.485, 0.500, 0.000)
P (0.492, 0.999, 0.746)
P (0.492, 0.001, 0.254)
W (0.782, 0.000, 0.000)

## Properties
Symmetry ... No. 3
E (MP2020) ... -8.1991 eV per atom
Calculated volume ... 11.959 A^3/atom
Formation energy from the elements ... -2.46 eV per atom

=====

What are the raw total energy values for these records? In order: -5.45 -6.41 -7.06 -6.59 -6.68 -5.30 -7.69 -7.37 eV per atom.